Here is a geometry-optimized YCoW2O8 structure from the Materials Project. Energies are from PBE+U.

For the total moment, the calculation gives 2.0 μB per formula unit. The calculation puts the total energy at -7.579 eV per atom. As for the MP2020-corrected energy: -106.96 eV for the cell shown. The value obtained for the offset from the most stable computed form is 0.093 eV per atom.

The structure belongs to space group P-1 (No. 2); the cell edges are 5.099, 6.024 and 6.097 Å and the angles 70.20°, 89.50° and 67.15°. The distinct sites, in fractional coordinates, are Y at (0.000, 0.000, 0.000), Co at (0.500, 0.000, 0.500), W at (0.239, 0.519, 0.664), O at (0.159, 0.302, 0.471), O at (0.221, 0.270, 0.929), O at (0.250, 0.764, 0.775) and O at (0.344, 0.700, 0.330).